Density functional theory data (PBE with a Hubbard U) for a relaxed structure of Mg6VCrO8.

Properties
For the calculated total energy, the calculation gives -102.567 eV for the cell shown. As for the crystal system: tetragonal. Its formation enthalpy at 0 K is -2.740 eV per atom. The calculation puts the density at 3.89 g cm⁻³.

Lattice parameters (Å, degrees): 4.2712 4.2712 8.8070 90.00 90.00 90.00
Closest atoms and distances in Å follow each position.
Space group P4/mmm (No. 123)
Asymmetric unit:
Mg 0.0000 0.0000 0.0000 (multiplicity 1)  6 O 2.14-2.21
Mg 0.0000 0.0000 0.5000 (multiplicity 1)  6 O 2.14-2.19
Mg 0.0000 0.5000 0.2469 (multiplicity 4)  6 O 2.14-2.23
V 0.5000 0.5000 0.0000 (multiplicity 1)  6 O 2.14-2.15
Cr 0.5000 0.5000 0.5000 (multiplicity 1)  6 O 2.14-2.26
O 0.0000 0.0000 0.2511 (multiplicity 2)  6 Mg 2.14-2.21
O 0.0000 0.5000 0.0000 (multiplicity 2)  2 V 2.14, 4 Mg 2.14-2.17
O 0.0000 0.5000 0.5000 (multiplicity 2)  2 Cr 2.14, 4 Mg 2.14-2.23
O 0.5000 0.5000 0.2437 (multiplicity 2)  4 Mg 2.14, 1 V 2.15, 1 Cr 2.26

Density functional theory data (PBE with a Hubbard U) for a relaxed structure of CaLaFeO4.

Properties
For the calculated total energy, the calculation gives -101.079 eV for the cell shown. As for the crystal system: tetragonal. Its formation enthalpy at 0 K is -2.906 eV per atom. The calculation puts the density at 5.29 g cm⁻³.

Lattice parameters (Å, degrees): 3.9065 3.9065 12.2857 90.00 90.00 90.00
Closest atoms and distances in Å follow each position.
Space group I4mm (No. 107)
Asymmetric unit:
Ca 0.0000 0.0000 0.0000 (multiplicity 2)  1 O 2.27
La 0.0000 0.0000 0.7161 (multiplicity 2)  1 O 2.28
Fe 0.0000 0.0000 0.3662 (multiplicity 2)  5 O 1.96-2.02
O 0.0000 0.0000 0.1849 (multiplicity 2)  1 Fe 2.23, 1 Ca 2.27
O 0.0000 0.0000 0.5307 (multiplicity 2)  1 Fe 2.02
O 0.0000 0.5000 0.3566 (multiplicity 4)  2 Fe 1.96

Density functional theory data (PBE with a Hubbard U) for a relaxed structure of ThMo2O8.

Properties
For the calculated total energy, the calculation gives -760.909 eV for the cell shown. As for the crystal system: hexagonal. Its formation enthalpy at 0 K is -2.523 eV per atom. The calculation puts the density at 4.39 g cm⁻³.

Lattice parameters (Å, degrees): 18.6880 18.6880 6.2065 90.00 90.00 120.00
Closest atoms and distances in Å follow each position.
Space group P-6 (No. 174)
Asymmetric unit:
Th 0.0000 0.0000 0.0000 (multiplicity 1)  9 O 2.39-2.48
Th 0.0016 0.6482 0.5000 (multiplicity 3)  4 O 2.18-2.38
Th 0.0032 0.3178 0.5000 (multiplicity 3)  7 O 2.36-2.44
Th 0.3333 0.6667 0.0000 (multiplicity 1)  9 O 2.41-2.45
Th 0.6667 0.3333 0.0000 (multiplicity 1)  9 O 2.42-2.47
Mo 0.0863 0.4885 0.0000 (multiplicity 3)  4 O 1.76-1.82
Mo 0.1066 0.2546 0.0000 (multiplicity 3)  4 O 1.76-1.82
Mo 0.1729 0.1144 0.5000 (multiplicity 3)  4 O 1.76-1.89
Mo 0.1883 0.6771 0.5000 (multiplicity 3)  4 O 1.77-1.84
Mo 0.4093 0.1676 0.0000 (multiplicity 3)  4 O 1.76-1.83
Mo 0.5353 0.3634 0.5000 (multiplicity 3)  4 O 1.77-1.86
O 0.0434 0.1439 0.0000 (multiplicity 3)  1 Mo 1.80
O 0.0467 0.5565 0.0000 (multiplicity 3)  1 Mo 1.76
O 0.0542 0.4272 0.2455 (multiplicity 6)  1 Mo 1.82
O 0.0743 0.7875 0.0000 (multiplicity 3)  1 Mo 1.76
O 0.0810 0.2915 0.2433 (multiplicity 6)  1 Mo 1.82
O 0.0869 0.5871 0.5000 (multiplicity 3)  1 Mo 1.80
O 0.1075 0.0804 0.2720 (multiplicity 6)  1 Mo 1.77
O 0.1419 0.7440 0.5000 (multiplicity 3)  1 Mo 1.84
O 0.1975 0.5462 0.0000 (multiplicity 3)  1 Mo 1.80
O 0.2329 0.0658 0.5000 (multiplicity 3)  1 Mo 1.76
O 0.2436 0.2300 0.5000 (multiplicity 3)  1 Mo 1.89
O 0.2443 0.6794 0.2678 (multiplicity 6)  1 Mo 1.77
O 0.3733 0.2384 0.0000 (multiplicity 3)  1 Mo 1.76
O 0.3744 0.1030 0.2411 (multiplicity 6)  1 Mo 1.83
O 0.4231 0.2861 0.5000 (multiplicity 3)  1 Mo 1.86
O 0.5198 0.2236 0.0000 (multiplicity 3)  1 Mo 1.79
O 0.5205 0.4497 0.5000 (multiplicity 3)  1 Mo 1.77
O 0.5881 0.3593 0.2668 (multiplicity 6)  1 Mo 1.77

Density functional theory data (PBE with a Hubbard U) for a relaxed structure of V2Co2O7.

Properties
For the calculated total energy, the calculation gives -310.008 eV for the cell shown. As for the crystal system: monoclinic. Its formation enthalpy at 0 K is -1.997 eV per atom. The calculation puts the density at 4.12 g cm⁻³.

Lattice parameters (Å, degrees): 6.6938 8.4676 9.5818 90.00 100.33 90.00
Closest atoms and distances in Å follow each position.
Space group P2_1/c (No. 14)
Asymmetric unit:
V 0.1392 0.2414 0.4690 (multiplicity 4)  4 O 1.68-1.88
V 0.3059 0.5185 0.6864 (multiplicity 4)  4 O 1.72-1.86
Co 0.1942 0.6127 0.3198 (multiplicity 4)  6 O 2.02-2.18
Co 0.3538 0.6213 0.0366 (multiplicity 4)  6 O 2.07-2.10
O 0.0721 0.6285 0.1040 (multiplicity 4)  1 V 1.75
O 0.1065 0.1314 0.1236 (multiplicity 4)  2 V 1.86-1.88
O 0.1794 0.1230 0.8487 (multiplicity 4)  1 V 1.68
O 0.2462 0.6415 0.8183 (multiplicity 4)  1 V 1.74
O 0.3282 0.6312 0.5400 (multiplicity 4)  1 V 1.72
O 0.3532 0.1210 0.5056 (multiplicity 4)  1 V 1.74
O 0.4705 0.5824 0.2525 (multiplicity 4)  1 V 1.73

What is the formation enthalpy at 0 K in the third record? -2.523 eV per atom

Look up the formation enthalpy at 0 K of the second one. -2.906 eV per atom

Look up the formation enthalpy at 0 K of the fourth one. -1.997 eV per atom

The lowest formation enthalpy at 0 K belongs to which entry? CaLaFeO4